The following is a r²SCAN calculation of a relaxed Al3CrO6 crystal, from the Materials Project.

Cell and atoms, written as extended XYZ:
```
20
Lattice="0.348 0.036 -5.169 3.300 3.498 0.247 5.066 -4.852 1.017" Properties=species:S:1:pos:R:3 pbc="T T T"
Al 4.428 -4.121 -0.656
Al 6.241 -2.340 -3.153
Al 5.006 -1.375 -0.273
Al 5.184 1.792 -0.919
Al 3.696 0.074 -3.663
Al 2.458 1.035 -0.783
Cr 3.541 -3.121 -2.954
Cr 4.297 2.790 -3.217
O 5.317 -3.757 -2.387
O 4.509 -1.591 -3.710
O 5.761 -3.176 0.210
O 3.638 -2.335 -1.107
O 6.270 -1.227 -1.646
O 6.473 -0.865 0.913
O 2.484 -0.129 -2.248
O 4.998 1.015 -2.730
O 2.885 1.798 -4.151
O 4.264 0.348 -0.221
O 1.957 -0.542 0.256
O 3.390 2.513 -1.444
```

Results
**Symmetry**: Pc
**Uncorrected energy**: -204.28 eV/cell
**Formation enthalpy at 0 K**: -3.103 eV per atom
**Spin magnetization**: 3.00 μB/f.u.
**Crystal system**: monoclinic

The following is a r²SCAN calculation of a relaxed Li5Ni9As7 crystal, from the Materials Project.

Cell and atoms, written as extended XYZ:
```
21
Lattice="4.650 -8.054 0.000 4.650 8.054 0.000 0.000 0.000 3.761" Properties=species:S:1:pos:R:3 pbc="T T T"
Li 6.115 -1.775 1.881
Li 3.130 -1.872 1.881
Li 4.706 -4.408 1.881
Li 4.650 2.684 3.761
Li 0.000 0.000 1.881
Ni 3.026 0.802 1.881
Ni 7.094 2.219 1.881
Ni 3.832 5.033 1.881
Ni 4.406 -0.343 3.761
Ni 2.745 -4.067 3.761
Ni 6.799 -3.645 3.761
Ni 6.855 0.385 3.761
Ni 5.540 5.743 3.761
Ni 1.556 1.925 3.761
As 7.995 -1.655 0.000
As 2.086 -0.303 0.000
As 3.870 -6.096 3.761
As 4.650 -2.685 0.000
As 5.384 0.675 1.881
As 6.023 4.325 1.881
As 2.543 3.053 1.881
```

Results
**Symmetry**: P-6
**Uncorrected energy**: -233.55 eV/cell
**Formation enthalpy at 0 K**: -0.516 eV per atom
**Spin magnetization**: 0.00 μB/f.u.
**Crystal system**: hexagonal

The following is a r²SCAN calculation of a relaxed NdTlAu2 crystal, from the Materials Project.

Cell and atoms, written as extended XYZ:
```
4
Lattice="0.841 -3.741 -3.336 -3.920 -2.452 -2.111 -1.079 0.691 -4.919" Properties=species:S:1:pos:R:3 pbc="T T T"
Nd -1.039 -1.375 -2.592
Tl -3.118 -4.126 -7.775
Au -2.079 -2.751 -5.183
Au 0.000 0.000 0.000
```

Results
**Symmetry**: Fm-3m
**Uncorrected energy**: -186.30 eV/cell
**Formation enthalpy at 0 K**: -0.634 eV per atom
**Spin magnetization**: 0.00 μB/f.u.
**Crystal system**: cubic

Question: The highest spin magnetization belongs to which entry?
Answer: Al3CrO6